No. 1
Below is a relaxed structure of Mg14ZnFe, with properties calculated at the PBE level.

Unit cell a=6.2545 b=6.2545 c=9.7707 alpha=90.00 beta=90.00 gamma=120.00
With the nearest neighbours (Å) after each atom.
Atoms (fractional coordinates):
Mg (0.1674, 0.8337, 0.1250)  10 Mg 3.03-3.13, 2 Zn 3.13
Mg (0.1660, 0.8330, 0.6250)  10 Mg 3.02-3.13, 2 Fe 3.13
Mg (0.6663, 0.3326, 0.1250)  10 Mg 3.03-3.13, 2 Zn 3.13
Mg (0.6670, 0.3340, 0.6250)  10 Mg 3.02-3.13, 2 Fe 3.13
Mg (0.6663, 0.8337, 0.1250)  10 Mg 3.03-3.13, 2 Zn 3.13
Mg (0.6670, 0.8330, 0.6250)  10 Mg 3.02-3.13, 2 Fe 3.13
Mg (0.3243, 0.1757, 0.3818)  1 Fe 2.93, 8 Mg 2.96-3.13, 1 Zn 3.03
Mg (0.3243, 0.1757, 0.8682)  1 Fe 2.93, 8 Mg 2.96-3.13, 1 Zn 3.03
Mg (0.3243, 0.6486, 0.3818)  1 Fe 2.93, 8 Mg 2.96-3.13, 1 Zn 3.03
Mg (0.3243, 0.6486, 0.8682)  1 Fe 2.93, 8 Mg 2.96-3.13, 1 Zn 3.03
Mg (0.8514, 0.1757, 0.3818)  1 Fe 2.93, 8 Mg 2.96-3.13, 1 Zn 3.03
Mg (0.8514, 0.1757, 0.8682)  1 Fe 2.93, 8 Mg 2.96-3.13, 1 Zn 3.03
Mg (0.8333, 0.6667, 0.3734)  12 Mg 3.03-3.13
Mg (0.8333, 0.6667, 0.8766)  12 Mg 3.03-3.13
Zn (0.1667, 0.3333, 0.1250)  12 Mg 3.03-3.13
Fe (0.1667, 0.3333, 0.6250)  12 Mg 2.93-3.13

Output
Electronic total energy in eV/atom: -1.91
DFT formation energy in meV/atom: 102
Total moment in μB/f.u.: 0.01

***

No. 2
Below is a relaxed structure of Mg6ZrFe, with properties calculated at the PBE level.

Unit cell a=4.9322 b=5.7942 c=11.2293 alpha=90.00 beta=90.00 gamma=90.00
With the nearest neighbours (Å) after each atom.
Atoms (fractional coordinates):
Mg (0.5000, 0.7488, 0.9262)  8 Mg 2.88-3.16, 1 Fe 3.07, 2 Zr 3.14-3.18
Mg (0.5000, 0.2512, 0.9262)  8 Mg 2.88-3.16, 1 Fe 3.07, 2 Zr 3.14-3.18
Mg (0.0000, 0.2439, 0.5830)  6 Mg 2.83-3.14, 2 Fe 3.00, 2 Zr 3.07
Mg (0.0000, 0.7561, 0.5830)  6 Mg 2.83-3.14, 2 Fe 3.00, 2 Zr 3.07
Mg (0.0000, 0.5000, 0.8294)  10 Mg 2.91-3.18, 2 Zr 3.00
Mg (0.0000, 0.0000, 0.8069)  8 Mg 2.88-3.16, 2 Fe 2.92
Mg (0.5000, 0.2488, 0.4262)  8 Mg 2.88-3.16, 1 Fe 3.07, 2 Zr 3.14-3.18
Mg (0.5000, 0.7512, 0.4262)  8 Mg 2.88-3.16, 1 Fe 3.07, 2 Zr 3.14-3.18
Mg (0.0000, 0.7439, 0.0830)  6 Mg 2.83-3.14, 2 Fe 3.00, 2 Zr 3.07
Mg (0.0000, 0.2561, 0.0830)  6 Mg 2.83-3.14, 2 Fe 3.00, 2 Zr 3.07
Mg (0.0000, 0.0000, 0.3294)  10 Mg 2.91-3.18, 2 Zr 3.00
Mg (0.0000, 0.5000, 0.3069)  8 Mg 2.88-3.16, 2 Fe 2.92
Zr (0.5000, 0.5000, 0.6777)  2 Fe 2.90, 10 Mg 3.00-3.18
Zr (0.5000, 0.0000, 0.1777)  2 Fe 2.90, 10 Mg 3.00-3.18
Fe (0.5000, 0.0000, 0.6677)  2 Zr 2.90, 8 Mg 2.92-3.07
Fe (0.5000, 0.5000, 0.1677)  2 Zr 2.90, 8 Mg 2.92-3.07

Output
Electronic total energy in eV/atom: -3.14
DFT formation energy in meV/atom: 187
Total moment in μB/f.u.: 1.62

***

No. 3
Below is a relaxed structure of Mg6ZrFe, with properties calculated at the PBE level.

Unit cell a=4.8699 b=6.1416 c=11.1485 alpha=90.00 beta=90.00 gamma=90.00
With the nearest neighbours (Å) after each atom.
Atoms (fractional coordinates):
Mg (0.0000, 0.2583, 0.0751)  8 Mg 2.97-3.28, 1 Zr 3.02, 2 Fe 3.13
Mg (0.0000, 0.7417, 0.0751)  8 Mg 2.97-3.28, 1 Zr 3.02, 2 Fe 3.13
Mg (0.0000, 0.0000, 0.3329)  10 Mg 3.02-3.28, 2 Zr 3.08
Mg (0.5000, 0.7445, 0.4211)  1 Fe 2.97, 8 Mg 2.98-3.19, 2 Zr 3.11
Mg (0.5000, 0.2555, 0.4211)  1 Fe 2.97, 8 Mg 2.98-3.19, 2 Zr 3.11
Mg (0.5000, 0.0000, 0.1725)  10 Mg 3.02-3.19, 2 Fe 3.08
Mg (0.0000, 0.7583, 0.5751)  8 Mg 2.97-3.28, 1 Zr 3.02, 2 Fe 3.13
Mg (0.0000, 0.2417, 0.5751)  8 Mg 2.97-3.28, 1 Zr 3.02, 2 Fe 3.13
Mg (0.0000, 0.5000, 0.8329)  10 Mg 3.02-3.28, 2 Zr 3.08
Mg (0.5000, 0.2445, 0.9211)  1 Fe 2.97, 8 Mg 2.98-3.19, 2 Zr 3.11
Mg (0.5000, 0.7555, 0.9211)  1 Fe 2.97, 8 Mg 2.98-3.19, 2 Zr 3.11
Mg (0.5000, 0.5000, 0.6725)  10 Mg 3.02-3.19, 2 Fe 3.08
Zr (0.0000, 0.5000, 0.3108)  2 Fe 2.78, 4 Mg 3.02-3.08
Zr (0.0000, 0.0000, 0.8108)  2 Fe 2.78, 4 Mg 3.02-3.08
Fe (0.5000, 0.5000, 0.1913)  2 Zr 2.78, 4 Mg 2.97-3.08
Fe (0.5000, 0.0000, 0.6913)  2 Zr 2.78, 4 Mg 2.97-3.08

Output
Electronic total energy in eV/atom: -3.19
DFT formation energy in meV/atom: 141
Total moment in μB/f.u.: 1.59

***

No. 4
Below is a relaxed structure of Mg14ZrFe, with properties calculated at the PBE level.

Unit cell a=6.3638 b=6.1720 c=10.0725 alpha=90.00 beta=90.00 gamma=119.01
With the nearest neighbours (Å) after each atom.
Atoms (fractional coordinates):
Mg (0.1677, 0.3339, 0.6250)  12 Mg 3.09-3.21
Mg (0.1639, 0.8319, 0.6250)  12 Mg 3.09-3.20
Mg (0.6544, 0.3198, 0.1250)  8 Mg 2.99-3.18, 2 Fe 3.09-3.27, 2 Zr 3.14-3.22
Mg (0.6635, 0.3343, 0.6250)  12 Mg 3.06-3.27
Mg (0.6544, 0.8346, 0.1250)  8 Mg 2.99-3.18, 2 Fe 3.09-3.27, 2 Zr 3.14-3.22
Mg (0.6635, 0.8293, 0.6250)  12 Mg 3.06-3.27
Mg (0.3318, 0.1624, 0.3664)  1 Fe 3.01, 10 Mg 3.02-3.29, 1 Zr 3.06
Mg (0.3318, 0.1624, 0.8836)  1 Fe 3.01, 10 Mg 3.02-3.29, 1 Zr 3.06
Mg (0.3318, 0.6695, 0.3664)  1 Fe 3.01, 10 Mg 3.02-3.29, 1 Zr 3.06
Mg (0.3318, 0.6695, 0.8836)  1 Fe 3.01, 10 Mg 3.02-3.29, 1 Zr 3.06
Mg (0.8404, 0.1702, 0.3778)  1 Zr 3.08, 11 Mg 3.09-3.22
Mg (0.8404, 0.1702, 0.8722)  1 Zr 3.08, 11 Mg 3.09-3.22
Mg (0.8522, 0.6761, 0.3579)  1 Fe 2.93, 9 Mg 3.04-3.27
Mg (0.8522, 0.6761, 0.8921)  1 Fe 2.93, 9 Mg 3.04-3.27
Zr (0.1512, 0.3256, 0.1250)  10 Mg 3.06-3.22, 2 Fe 3.09
Fe (0.1689, 0.8344, 0.1250)  10 Mg 2.93-3.27, 2 Zr 3.09

Output
Electronic total energy in eV/atom: -2.38
DFT formation energy in meV/atom: 82
Total moment in μB/f.u.: 1.86

***

No. 5
Below is a relaxed structure of Mg14ZrFe, with properties calculated at the PBE level.

Unit cell a=6.2723 b=6.2723 c=10.0239 alpha=90.00 beta=90.00 gamma=120.00
With the nearest neighbours (Å) after each atom.
Atoms (fractional coordinates):
Mg (0.1771, 0.8385, 0.1250)  10 Mg 3.04-3.23, 2 Zr 3.14
Mg (0.1617, 0.8309, 0.6250)  10 Mg 3.02-3.18, 2 Fe 3.14
Mg (0.6615, 0.3229, 0.1250)  10 Mg 3.04-3.23, 2 Zr 3.14
Mg (0.6691, 0.3383, 0.6250)  10 Mg 3.02-3.18, 2 Fe 3.14
Mg (0.6615, 0.8385, 0.1250)  10 Mg 3.04-3.23, 2 Zr 3.14
Mg (0.6691, 0.8309, 0.6250)  10 Mg 3.02-3.18, 2 Fe 3.14
Mg (0.3249, 0.1751, 0.3891)  1 Fe 2.92, 8 Mg 2.98-3.22, 1 Zr 3.16
Mg (0.3249, 0.1751, 0.8609)  1 Fe 2.92, 8 Mg 2.98-3.22, 1 Zr 3.16
Mg (0.3249, 0.6499, 0.3891)  1 Fe 2.92, 8 Mg 2.98-3.22, 1 Zr 3.16
Mg (0.3249, 0.6499, 0.8609)  1 Fe 2.92, 8 Mg 2.98-3.22, 1 Zr 3.16
Mg (0.8501, 0.1751, 0.3891)  1 Fe 2.92, 8 Mg 2.98-3.22, 1 Zr 3.16
Mg (0.8501, 0.1751, 0.8609)  1 Fe 2.92, 8 Mg 2.98-3.22, 1 Zr 3.16
Mg (0.8333, 0.6667, 0.3651)  12 Mg 3.05-3.16
Mg (0.8333, 0.6667, 0.8849)  12 Mg 3.05-3.16
Zr (0.1667, 0.3333, 0.1250)  12 Mg 3.14-3.16
Fe (0.1667, 0.3333, 0.6250)  12 Mg 2.92-3.14

Output
Electronic total energy in eV/atom: -2.32
DFT formation energy in meV/atom: 147
Total moment in μB/f.u.: 0.02

***

No. 6
Below is a relaxed structure of MnFe, with properties calculated at the PBE level.

Unit cell a=2.4600 b=2.4600 c=3.4807 alpha=90.00 beta=90.00 gamma=90.00
With the nearest neighbours (Å) after each atom.
Atoms (fractional coordinates):
Mn (0.5000, 0.5000, 0.5000)  4 Mn 2.46, 8 Fe 2.46
Fe (0.0000, 0.0000, 0.0000)  4 Fe 2.46, 8 Mn 2.46

Output
Electronic total energy in eV/atom: -8.72
DFT formation energy in meV/atom: 93
Total moment in μB/f.u.: 0.95